Below is Mg6MoC after structural relaxation, with properties calculated at the PBE-GGA level.

E_form in eV/f.u.: 5.932
Spin magnetization in μB/f.u.: 0.002
ΔE to the lowest computed polymorph in eV per atom: 0.4439

Cell and atoms, written as POSCAR:
```
Mg6MoC
1.0
4.802 0.000 0.000
0.000 5.525 0.000
0.000 0.000 10.734
Mg Mo C
12 2 2
Cartesian
2.401 1.378 4.579
2.401 4.147 4.579
0.000 4.173 0.865
0.000 1.352 0.865
0.000 0.000 3.483
0.000 2.763 3.315
2.401 4.141 9.946
2.401 1.385 9.946
0.000 1.411 6.232
0.000 4.115 6.232
0.000 2.763 8.850
0.000 0.000 8.682
2.401 0.000 1.928
2.401 2.763 7.295
2.401 2.763 1.852
2.401 0.000 7.219
```


Below is Mg6MoC after structural relaxation, with properties calculated at the PBE-GGA level.

E_form in eV/f.u.: 2.381
Spin magnetization in μB/f.u.: 0.000
ΔE to the lowest computed polymorph in eV per atom: 0.0000

Cell and atoms, written as POSCAR:
```
Mg6MoC
1.0
3.160 0.000 0.000
0.000 9.932 0.000
0.000 0.000 10.787
Mg Mo C
12 2 2
Cartesian
0.000 6.868 0.985
0.000 3.064 0.985
0.000 4.966 9.270
1.580 7.601 9.107
1.580 2.331 9.107
1.580 4.966 6.404
0.000 1.902 6.379
0.000 8.030 6.379
0.000 0.000 3.876
1.580 2.635 3.714
1.580 7.297 3.714
1.580 0.000 1.011
0.000 4.966 3.063
0.000 0.000 8.457
1.580 4.966 4.224
1.580 0.000 9.618
```